[1]
# Li2V2P2O9, relaxed, DFT PBE with a Hubbard U
data_Li2V2P2O9
_chemical_formula_sum 'Li8 V8 P8 O36'
_cell_length_a 8.450
_cell_length_b 5.673
_cell_length_c 14.531
_cell_angle_alpha 90.00
_cell_angle_beta 90.00
_cell_angle_gamma 90.00
_space_group_name_H-M_alt 'P n m a'
_space_group_IT_number 62
_space_group_name_Hall '-P 2ac 2n'
loop_
_atom_site_label
_atom_site_type_symbol
_atom_site_fract_x
_atom_site_fract_y
_atom_site_fract_z
_atom_site_occupancy
Li1 Li 0.020 0.250 0.129 1
Li2 Li 0.022 0.250 0.739 1
V1 V 0.000 0.000 0.500 1
V2 V 0.207 0.250 0.936 1
P1 P 0.171 0.750 0.070 1
P2 P 0.208 0.250 0.330 1
O1 O 0.012 0.750 0.016 1
O2 O 0.061 0.750 0.413 1
O3 O 0.066 0.250 0.406 1
O4 O 0.131 0.250 0.238 1
O5 O 0.149 0.750 0.173 1
O6 O 0.183 0.530 0.848 1
O7 O 0.237 0.019 0.538 1
# final energy	-7.14	eV/atom
# energy of formation from the pure elements	-2.6193	eV/atom
# calculated volume	696.6	Å³ per cell

---

[2]
# Li5V3P8O29, relaxed, DFT PBE with a Hubbard U
data_Li5V3P8O29
_chemical_formula_sum 'Li10 V6 P16 O58'
_cell_length_a 9.809
_cell_length_b 9.826
_cell_length_c 13.944
_cell_angle_alpha 89.97
_cell_angle_beta 90.00
_cell_angle_gamma 60.09
_space_group_name_H-M_alt 'P 1'
_space_group_IT_number 1
_space_group_name_Hall 'P 1'
loop_
_atom_site_label
_atom_site_type_symbol
_atom_site_fract_x
_atom_site_fract_y
_atom_site_fract_z
_atom_site_occupancy
Li1 Li 0.000 0.000 0.000 1
Li2 Li 0.002 0.132 0.503 1
Li3 Li 0.097 0.809 0.624 1
Li4 Li 0.100 0.219 0.120 1
Li5 Li 0.232 0.227 0.626 1
Li6 Li 0.239 0.677 0.122 1
Li7 Li 0.419 0.581 0.505 1
Li8 Li 0.550 0.992 0.503 1
Li9 Li 0.635 0.818 0.120 1
Li10 Li 0.990 0.568 0.944 1
V1 V 0.325 0.469 0.310 1
V2 V 0.328 0.334 0.817 1
V3 V 0.748 0.477 0.811 1
V4 V 0.755 0.905 0.313 1
V5 V 0.887 0.340 0.312 1
V6 V 0.891 0.904 0.809 1
P1 P 0.003 0.993 0.220 1
P2 P 0.005 0.137 0.720 1
P3 P 0.093 0.225 0.904 1
P4 P 0.093 0.815 0.403 1
P5 P 0.233 0.675 0.906 1
P6 P 0.236 0.224 0.405 1
P7 P 0.409 0.585 0.722 1
P8 P 0.410 0.134 0.220 1
P9 P 0.554 0.990 0.720 1
P10 P 0.555 0.589 0.218 1
P11 P 0.639 0.674 0.406 1
P12 P 0.643 0.814 0.904 1
P13 P 0.657 0.237 0.435 1
P14 P 0.662 0.236 0.936 1
P15 P 0.990 0.572 0.189 1
P16 P 0.992 0.567 0.689 1
O1 O 0.066 0.825 0.900 1
O2 O 0.069 0.241 0.401 1
O3 O 0.080 0.145 0.993 1
O4 O 0.082 0.903 0.494 1
O5 O 0.083 0.147 0.630 1
O6 O 0.083 0.906 0.130 1
O7 O 0.114 0.115 0.812 1
O8 O 0.115 0.904 0.312 1
O9 O 0.138 0.577 0.227 1
O10 O 0.142 0.416 0.730 1
O11 O 0.209 0.532 0.888 1
O12 O 0.223 0.384 0.386 1
O13 O 0.238 0.245 0.903 1
O14 O 0.241 0.650 0.402 1
O15 O 0.316 0.667 0.996 1
O16 O 0.317 0.142 0.134 1
O17 O 0.320 0.147 0.496 1
O18 O 0.321 0.695 0.813 1
O19 O 0.323 0.665 0.631 1
O20 O 0.330 0.111 0.316 1
O21 O 0.408 0.156 0.724 1
O22 O 0.409 0.567 0.221 1
O23 O 0.418 0.427 0.737 1
O24 O 0.421 0.285 0.238 1
O25 O 0.512 0.239 0.891 1
O26 O 0.512 0.390 0.395 1
O27 O 0.534 0.694 0.312 1
O28 O 0.535 0.903 0.812 1
O29 O 0.559 0.661 0.493 1
O30 O 0.566 0.908 0.628 1
O31 O 0.569 0.667 0.131 1
O32 O 0.569 0.895 0.995 1
O33 O 0.577 0.564 0.725 1
O34 O 0.578 0.988 0.223 1
O35 O 0.651 0.090 0.395 1
O36 O 0.661 0.819 0.404 1
O37 O 0.663 0.242 0.042 1
O38 O 0.664 0.383 0.887 1
O39 O 0.664 0.646 0.896 1
O40 O 0.666 0.235 0.542 1
O41 O 0.706 0.426 0.240 1
O42 O 0.706 0.999 0.741 1
O43 O 0.801 0.521 0.385 1
O44 O 0.811 0.790 0.887 1
O45 O 0.812 0.088 0.896 1
O46 O 0.812 0.233 0.391 1
O47 O 0.838 0.716 0.227 1
O48 O 0.844 0.006 0.239 1
O49 O 0.845 0.567 0.737 1
O50 O 0.847 0.287 0.739 1
O51 O 0.942 0.805 0.385 1
O52 O 0.945 0.389 0.889 1
O53 O 0.987 0.159 0.223 1
O54 O 0.990 0.566 0.582 1
O55 O 0.990 0.988 0.719 1
O56 O 0.991 0.566 0.081 1
O57 O 0.994 0.417 0.230 1
O58 O 0.997 0.717 0.727 1
# final energy	-7.03	eV/atom
# energy of formation from the pure elements	-2.6141	eV/atom
# calculated volume	1165.0	Å³ per cell

---

[3]
# LiV2P2O8, relaxed, DFT PBE with a Hubbard U
data_LiV2P2O8
_chemical_formula_sum 'Li2 V4 P4 O16'
_cell_length_a 4.839
_cell_length_b 10.329
_cell_length_c 5.933
_cell_angle_alpha 90.00
_cell_angle_beta 90.94
_cell_angle_gamma 90.00
_space_group_name_H-M_alt 'P 1 21 1'
_space_group_IT_number 4
_space_group_name_Hall 'P 2yb'
loop_
_atom_site_label
_atom_site_type_symbol
_atom_site_fract_x
_atom_site_fract_y
_atom_site_fract_z
_atom_site_occupancy
Li1 Li 0.247 0.000 0.233 1
V1 V 0.229 0.276 0.998 1
V2 V 0.281 0.726 0.501 1
P1 P 0.151 0.408 0.497 1
P2 P 0.326 0.596 0.999 1
O1 O 0.006 0.841 0.298 1
O2 O 0.012 0.329 0.300 1
O3 O 0.012 0.604 0.985 1
O4 O 0.066 0.551 0.500 1
O5 O 0.440 0.458 0.992 1
O6 O 0.450 0.675 0.205 1
O7 O 0.465 0.390 0.511 1
O8 O 0.469 0.671 0.792 1
# final energy	-7.39	eV/atom
# energy of formation from the pure elements	-2.6570	eV/atom
# calculated volume	296.5	Å³ per cell

---

[4]
# Li7V3P8O29, relaxed, DFT PBE with a Hubbard U
data_Li7V3P8O29
_chemical_formula_sum 'Li14 V6 P16 O58'
_cell_length_a 9.831
_cell_length_b 9.846
_cell_length_c 13.903
_cell_angle_alpha 89.79
_cell_angle_beta 89.59
_cell_angle_gamma 60.13
_space_group_name_H-M_alt 'P 1'
_space_group_IT_number 1
_space_group_name_Hall 'P 1'
loop_
_atom_site_label
_atom_site_type_symbol
_atom_site_fract_x
_atom_site_fract_y
_atom_site_fract_z
_atom_site_occupancy
Li1 Li 0.000 0.000 0.000 1
Li2 Li 0.001 0.421 0.952 1
Li3 Li 0.010 0.558 0.448 1
Li4 Li 0.099 0.649 0.825 1
Li5 Li 0.103 0.236 0.329 1
Li6 Li 0.244 0.640 0.332 1
Li7 Li 0.316 0.277 0.877 1
Li8 Li 0.423 0.004 0.454 1
Li9 Li 0.425 0.549 0.949 1
Li10 Li 0.555 0.414 0.449 1
Li11 Li 0.568 0.988 0.949 1
Li12 Li 0.642 0.103 0.329 1
Li13 Li 0.651 0.669 0.772 1
Li14 Li 0.660 0.223 0.827 1
V1 V 0.325 0.896 0.642 1
V2 V 0.331 0.761 0.136 1
V3 V 0.760 0.893 0.140 1
V4 V 0.763 0.324 0.639 1
V5 V 0.896 0.760 0.638 1
V6 V 0.897 0.327 0.139 1
P1 P 0.010 0.560 0.230 1
P2 P 0.014 0.417 0.735 1
P3 P 0.098 0.241 0.549 1
P4 P 0.103 0.643 0.044 1
P5 P 0.243 0.646 0.547 1
P6 P 0.245 0.104 0.047 1
P7 P 0.416 0.004 0.234 1
P8 P 0.420 0.550 0.731 1
P9 P 0.554 0.009 0.731 1
P10 P 0.561 0.415 0.230 1
P11 P 0.648 0.233 0.046 1
P12 P 0.653 0.093 0.547 1
P13 P 0.660 0.661 0.012 1
P14 P 0.665 0.660 0.517 1
P15 P 0.990 0.991 0.762 1
P16 P 0.998 0.990 0.260 1
O1 O 0.002 0.139 0.225 1
O2 O 0.011 0.966 0.366 1
O3 O 0.075 0.336 0.459 1
O4 O 0.079 0.246 0.044 1
O5 O 0.080 0.586 0.320 1
O6 O 0.081 0.654 0.548 1
O7 O 0.097 0.555 0.957 1
O8 O 0.104 0.334 0.824 1
O9 O 0.117 0.330 0.640 1
O10 O 0.122 0.541 0.139 1
O11 O 0.132 0.995 0.723 1
O12 O 0.145 0.844 0.208 1
O13 O 0.228 0.804 0.564 1
O14 O 0.234 0.952 0.051 1
O15 O 0.243 0.080 0.546 1
O16 O 0.251 0.659 0.041 1
O17 O 0.318 0.121 0.147 1
O18 O 0.330 0.077 0.326 1
O19 O 0.331 0.546 0.820 1
O20 O 0.334 0.534 0.639 1
O21 O 0.335 0.563 0.457 1
O22 O 0.345 0.111 0.966 1
O23 O 0.408 0.576 0.228 1
O24 O 0.410 0.992 0.731 1
O25 O 0.434 0.843 0.212 1
O26 O 0.440 0.694 0.723 1
O27 O 0.513 0.653 0.055 1
O28 O 0.517 0.810 0.553 1
O29 O 0.543 0.114 0.639 1
O30 O 0.544 0.319 0.140 1
O31 O 0.557 0.098 0.821 1
O32 O 0.559 0.320 0.957 1
O33 O 0.572 0.325 0.321 1
O34 O 0.573 0.081 0.458 1
O35 O 0.579 0.994 0.231 1
O36 O 0.586 0.400 0.730 1
O37 O 0.647 0.668 0.904 1
O38 O 0.652 0.814 0.050 1
O39 O 0.659 0.512 0.559 1
O40 O 0.664 0.067 0.048 1
O41 O 0.664 0.245 0.547 1
O42 O 0.688 0.648 0.411 1
O43 O 0.703 0.434 0.211 1
O44 O 0.704 0.846 0.722 1
O45 O 0.812 0.213 0.055 1
O46 O 0.813 0.514 0.046 1
O47 O 0.814 0.949 0.564 1
O48 O 0.815 0.658 0.565 1
O49 O 0.835 0.137 0.726 1
O50 O 0.844 0.997 0.220 1
O51 O 0.848 0.706 0.206 1
O52 O 0.851 0.430 0.724 1
O53 O 0.949 0.228 0.572 1
O54 O 0.956 0.807 0.057 1
O55 O 0.980 0.980 0.870 1
O56 O 0.995 0.582 0.732 1
O57 O 0.995 0.837 0.721 1
O58 O 0.998 0.412 0.233 1
# final energy	-6.99	eV/atom
# energy of formation from the pure elements	-2.6842	eV/atom
# calculated volume	1167.0	Å³ per cell

---

[5]
# LiVP4O12, relaxed, DFT PBE with a Hubbard U
data_LiVP4O12
_chemical_formula_sum 'Li4 V4 P16 O48'
_cell_length_a 17.306
_cell_length_b 11.668
_cell_length_c 5.071
_cell_angle_alpha 90.00
_cell_angle_beta 104.87
_cell_angle_gamma 90.00
_space_group_name_H-M_alt 'C 1 2/m 1'
_space_group_IT_number 12
_space_group_name_Hall '-C 2y'
loop_
_atom_site_label
_atom_site_type_symbol
_atom_site_fract_x
_atom_site_fract_y
_atom_site_fract_z
_atom_site_occupancy
Li1 Li 0.250 0.250 0.000 1
V1 V 0.147 0.000 0.680 1
P1 P 0.086 0.177 0.153 1
P2 P 0.187 0.381 0.438 1
O1 O 0.000 0.227 0.000 1
O2 O 0.078 0.112 0.401 1
O3 O 0.124 0.118 0.955 1
O4 O 0.130 0.297 0.223 1
O5 O 0.140 0.500 0.351 1
O6 O 0.193 0.353 0.726 1
O7 O 0.236 0.114 0.657 1
# final energy	-7.16	eV/atom
# energy of formation from the pure elements	-2.5967	eV/atom
# calculated volume	989.6	Å³ per cell

---

[6]
# Li5V3P8O29, relaxed, DFT PBE with a Hubbard U
data_Li5V3P8O29
_chemical_formula_sum 'Li10 V6 P16 O58'
_cell_length_a 9.758
_cell_length_b 9.794
_cell_length_c 14.111
_cell_angle_alpha 90.46
_cell_angle_beta 90.03
_cell_angle_gamma 119.82
_space_group_name_H-M_alt 'P 1'
_space_group_IT_number 1
_space_group_name_Hall 'P 1'
loop_
_atom_site_label
_atom_site_type_symbol
_atom_site_fract_x
_atom_site_fract_y
_atom_site_fract_z
_atom_site_occupancy
Li1 Li 0.000 0.000 0.000 1
Li2 Li 0.000 0.439 0.499 1
Li3 Li 0.136 0.988 0.506 1
Li4 Li 0.140 0.569 0.999 1
Li5 Li 0.572 0.433 0.997 1
Li6 Li 0.574 0.570 0.504 1
Li7 Li 0.681 0.352 0.380 1
Li8 Li 0.806 0.335 0.879 1
Li9 Li 0.815 0.896 0.383 1
Li10 Li 0.941 0.714 0.931 1
V1 V 0.338 0.668 0.190 1
V2 V 0.340 0.096 0.694 1
V3 V 0.468 0.233 0.189 1
V4 V 0.471 0.670 0.695 1
V5 V 0.906 0.236 0.689 1
V6 V 0.908 0.100 0.189 1
P1 P 0.130 0.584 0.787 1
P2 P 0.139 0.989 0.287 1
P3 P 0.210 0.889 0.104 1
P4 P 0.215 0.750 0.604 1
P5 P 0.239 0.337 0.068 1
P6 P 0.241 0.331 0.571 1
P7 P 0.575 0.001 0.308 1
P8 P 0.577 0.007 0.812 1
P9 P 0.587 0.582 0.285 1
P10 P 0.591 0.441 0.780 1
P11 P 0.674 0.348 0.597 1
P12 P 0.681 0.749 0.101 1
P13 P 0.815 0.348 0.099 1
P14 P 0.815 0.896 0.602 1
P15 P 0.994 0.983 0.783 1
P16 P 0.996 0.438 0.280 1
O1 O 0.008 0.288 0.262 1
O2 O 0.092 0.338 0.610 1
O3 O 0.095 0.180 0.105 1
O4 O 0.098 0.870 0.025 1
O5 O 0.109 0.651 0.879 1
O6 O 0.115 0.681 0.701 1
O7 O 0.122 0.868 0.204 1
O8 O 0.123 0.657 0.520 1
O9 O 0.152 0.928 0.381 1
O10 O 0.162 0.585 0.274 1
O11 O 0.165 0.010 0.772 1
O12 O 0.227 0.481 0.113 1
O13 O 0.236 0.348 0.962 1
O14 O 0.237 0.180 0.614 1
O15 O 0.239 0.323 0.465 1
O16 O 0.241 0.746 0.101 1
O17 O 0.243 0.922 0.603 1
O18 O 0.284 0.582 0.776 1
O19 O 0.287 0.150 0.261 1
O20 O 0.365 0.045 0.109 1
O21 O 0.375 0.757 0.619 1
O22 O 0.393 0.480 0.611 1
O23 O 0.395 0.349 0.106 1
O24 O 0.423 0.001 0.763 1
O25 O 0.426 0.570 0.262 1
O26 O 0.428 0.853 0.258 1
O27 O 0.434 0.285 0.766 1
O28 O 0.520 0.743 0.110 1
O29 O 0.523 0.190 0.616 1
O30 O 0.563 0.582 0.776 1
O31 O 0.567 0.016 0.917 1
O32 O 0.568 0.992 0.413 1
O33 O 0.572 0.417 0.281 1
O34 O 0.576 0.152 0.270 1
O35 O 0.581 0.864 0.769 1
O36 O 0.646 0.326 0.101 1
O37 O 0.650 0.749 0.601 1
O38 O 0.657 0.667 0.377 1
O39 O 0.661 0.425 0.509 1
O40 O 0.678 0.442 0.869 1
O41 O 0.694 0.656 0.020 1
O42 O 0.699 0.460 0.688 1
O43 O 0.705 0.681 0.200 1
O44 O 0.718 0.162 0.772 1
O45 O 0.722 0.994 0.269 1
O46 O 0.804 0.047 0.620 1
O47 O 0.810 0.190 0.112 1
O48 O 0.820 0.921 0.100 1
O49 O 0.822 0.330 0.596 1
O50 O 0.901 0.433 0.010 1
O51 O 0.902 0.457 0.191 1
O52 O 0.902 0.873 0.692 1
O53 O 0.906 0.910 0.513 1
O54 O 0.910 0.429 0.369 1
O55 O 0.926 0.895 0.873 1
O56 O 0.985 0.413 0.775 1
O57 O 0.989 0.004 0.279 1
O58 O 0.992 0.137 0.773 1
# final energy	-7.03	eV/atom
# energy of formation from the pure elements	-2.6207	eV/atom
# calculated volume	1170.0	Å³ per cell

---

- The lowest calculated volume belongs to which entry?
  LiV2P2O8